(1)
The following is a DFT calculation (r²SCAN) of a geometry-optimized CaBr2 structure.

Cell: 4.366 6.655 6.906 Å, 90.00 90.00 90.00°
Fractional positions:
Ca  0.000  0.000  0.000
Ca  0.500  0.500  0.500
Br  0.000  0.275  0.327
Br  0.000  0.725  0.673
Br  0.500  0.775  0.173
Br  0.500  0.225  0.827

SG: No. 58
Calculated formation energy (meV/atom): -2303

=====

(2)
The following is a DFT calculation (r²SCAN) of a geometry-optimized SrBiO3 structure.

Cell: 5.955 6.144 8.505 Å, 90.00 90.03 90.00°
Fractional positions:
Sr  0.986  0.551  0.249
Sr  0.514  0.051  0.251
Sr  0.014  0.449  0.751
Sr  0.486  0.949  0.749
Bi  0.000  0.000  0.000
Bi  0.500  0.500  0.500
Bi  0.000  0.000  0.500
Bi  0.500  0.500  0.000
O  0.689  0.786  0.059
O  0.811  0.286  0.441
O  0.311  0.214  0.941
O  0.189  0.714  0.559
O  0.788  0.306  0.053
O  0.712  0.806  0.447
O  0.212  0.694  0.947
O  0.288  0.194  0.553
O  0.395  0.458  0.239
O  0.105  0.958  0.261
O  0.605  0.542  0.761
O  0.895  0.042  0.739

SG: No. 14
Calculated formation energy (meV/atom): -2013

=====

(3)
The following is a DFT calculation (r²SCAN) of a geometry-optimized Ba2TlCd structure.

Cell: 6.016 6.016 6.016 Å, 60.00 60.00 60.00°
Fractional positions:
Ba  0.000  0.000  0.000
Ba  0.500  0.500  0.500
Tl  0.750  0.750  0.750
Cd  0.250  0.250  0.250

SG: No. 225
Calculated formation energy (meV/atom): -395

=====

(4)
The following is a DFT calculation (r²SCAN) of a geometry-optimized Zr9Ni2P4 structure.

Cell: 12.043 12.043 3.693 Å, 90.00 90.00 90.00°
Fractional positions:
Zr  0.000  0.000  0.000
Zr  0.500  0.500  0.000
Zr  0.103  0.182  0.500
Zr  0.182  0.897  0.500
Zr  0.818  0.103  0.500
Zr  0.897  0.818  0.500
Zr  0.397  0.682  0.500
Zr  0.603  0.318  0.500
Zr  0.682  0.603  0.500
Zr  0.318  0.397  0.500
Zr  0.096  0.404  0.000
Zr  0.404  0.904  0.000
Zr  0.596  0.096  0.000
Zr  0.904  0.596  0.000
Zr  0.380  0.120  0.500
Zr  0.120  0.620  0.500
Zr  0.880  0.380  0.500
Zr  0.620  0.880  0.500
Ni  0.254  0.246  0.000
Ni  0.246  0.746  0.000
Ni  0.754  0.254  0.000
Ni  0.746  0.754  0.000
P  0.224  0.057  0.000
P  0.057  0.776  0.000
P  0.943  0.224  0.000
P  0.776  0.943  0.000
P  0.276  0.557  0.000
P  0.724  0.443  0.000
P  0.557  0.724  0.000
P  0.443  0.276  0.000

SG: No. 127
Calculated formation energy (meV/atom): -1068

=====

Number 1: electronic total energy -0.9914 Ry per atom, size of the total moment 0.000 μB per atom. Number 2: electronic total energy -1.4939 Ry per atom, size of the total moment 0.000 μB per atom. Number 3: electronic total energy -2.3494 Ry per atom, size of the total moment 0.000 μB per atom. Number 4: electronic total energy -1.3756 Ry per atom, size of the total moment 0.000 μB per atom.